{"formula": "YMoO3", "functional": "PBE+U", "state": "optimized geometry", "delta_e_f_kcal_per_mol_atoms": -62.23, "m_tot_mub_per_fu": 2.996, "lattice": [[-3.318, 1.470, -0.153], [1.948, -0.408, -3.039], [-5.006, -11.475, -1.667]], "species": ["Y", "O", "Mo", "Y", "O", "Mo", "O", "O", "O", "O"], "frac_coords": [[0.000, 0.000, 0.000], [0.667, 0.333, 0.580], [0.667, 0.333, 0.750], [0.000, 0.000, 0.500], [0.000, 0.000, 0.750], [0.333, 0.667, 0.250], [0.667, 0.333, 0.920], [0.000, 0.000, 0.250], [0.333, 0.667, 0.080], [0.333, 0.667, 0.420]]}

{"formula": "Y6MoO12", "functional": "PBE+U", "state": "optimized geometry", "delta_e_f_kcal_per_mol_atoms": -77.75, "m_tot_mub_per_fu": 0.001, "polymorph_energy_ev_per_atom": 0.003, "lattice": [[9.693, 0.634, -3.434], [-1.232, 6.390, -0.440], [1.362, -2.747, 5.701]], "species": ["Y", "O", "O", "O", "O", "O", "Y", "Y", "O", "O", "O", "Mo", "O", "Y", "Y", "O", "Y", "O", "O"], "frac_coords": [[0.715, 0.736, 0.607], [0.542, 0.806, 0.783], [0.458, 0.194, 0.217], [0.727, 0.950, 0.447], [0.017, 0.327, 0.065], [0.187, 0.010, 0.005], [0.081, 0.738, 0.351], [0.358, 0.951, 0.802], [0.813, 0.990, 0.995], [0.983, 0.673, 0.935], [0.775, 0.390, 0.479], [0.000, 0.000, 0.000], [0.041, 0.117, 0.355], [0.919, 0.262, 0.649], [0.642, 0.049, 0.198], [0.273, 0.050, 0.553], [0.285, 0.264, 0.393], [0.959, 0.883, 0.645], [0.225, 0.610, 0.521]]}